Run w
# Pr2MgCuO4

Crystalline Pr2MgCuO4 at its relaxed geometry (GGA-PBE, Materials Project).

The structure in POSCAR format:
```
Pr2MgCuO4
1.0
3.886 0.000 -1.196
-0.369 3.867 -1.199
0.305 0.329 7.897
Pr Mg Cu O
2 1 1 4
Direct
0.632 0.632 0.264
0.399 0.398 0.798
0.202 0.203 0.405
0.023 0.023 0.046
0.226 0.727 0.452
0.726 0.227 0.452
0.979 0.479 0.958
0.479 0.979 0.958
```

Properties
SG: Cm

Run x
# Pr2MgCuO4

Crystalline Pr2MgCuO4 at its relaxed geometry (GGA-PBE, Materials Project).

The structure in POSCAR format:
```
Pr2MgCuO4
1.0
-0.792 -2.616 -3.047
3.606 -1.829 0.633
-5.193 -3.286 6.921
Pr Mg Cu O
2 1 1 4
Direct
0.685 0.685 0.370
0.315 0.315 0.630
0.500 0.500 0.000
0.000 0.000 0.000
0.250 0.750 0.500
0.750 0.250 0.500
0.000 0.500 0.000
0.500 0.000 0.000
```

Properties
SG: C2/m

Most stable: run w

Run w
# MgAl2O4

Crystalline MgAl2O4 at its relaxed geometry (GGA-PBE, Materials Project).

The structure in POSCAR format:
```
MgAl2O4
1.0
18.994 -2.880 0.000
18.994 2.880 0.000
18.557 0.000 4.969
Mg Al O
8 16 32
Direct
0.155 0.155 0.155
0.405 0.405 0.405
0.750 0.750 0.750
0.655 0.655 0.655
0.906 0.906 0.906
0.999 0.999 0.999
0.594 0.594 0.594
0.500 0.500 0.500
0.620 0.620 0.135
0.135 0.620 0.620
0.620 0.135 0.620
0.871 0.871 0.384
0.384 0.871 0.871
0.122 0.122 0.630
0.871 0.384 0.871
0.630 0.122 0.122
0.095 0.095 0.095
0.122 0.630 0.122
0.373 0.373 0.881
0.881 0.373 0.373
0.345 0.345 0.345
0.251 0.251 0.251
0.373 0.881 0.373
0.844 0.844 0.844
0.324 0.783 0.324
0.783 0.324 0.324
0.440 0.440 0.440
0.324 0.324 0.783
0.574 0.032 0.574
0.933 0.933 0.452
0.452 0.933 0.933
0.032 0.574 0.574
0.690 0.690 0.690
0.811 0.811 0.811
0.574 0.574 0.032
0.933 0.452 0.933
0.822 0.284 0.822
0.182 0.182 0.704
0.704 0.182 0.182
0.062 0.062 0.062
0.284 0.822 0.822
0.940 0.940 0.940
0.822 0.822 0.284
0.182 0.704 0.182
0.081 0.523 0.081
0.418 0.418 0.980
0.980 0.418 0.418
0.312 0.312 0.312
0.191 0.191 0.191
0.523 0.081 0.081
0.418 0.980 0.418
0.081 0.081 0.523
0.686 0.686 0.196
0.196 0.686 0.686
0.558 0.558 0.558
0.686 0.196 0.686
```

Properties
SG: R3m

Run x
# MgAl2O4

Crystalline MgAl2O4 at its relaxed geometry (GGA-PBE, Materials Project).

The structure in POSCAR format:
```
MgAl2O4
1.0
-15.170 -9.869 6.369
-12.311 -9.362 11.353
-15.807 -5.126 9.589
Mg Al O
8 16 32
Direct
0.155 0.155 0.155
0.405 0.405 0.405
0.500 0.500 0.500
0.656 0.656 0.656
0.749 0.749 0.749
0.906 0.906 0.906
0.345 0.345 0.345
0.594 0.594 0.594
0.620 0.135 0.620
0.620 0.620 0.135
0.135 0.620 0.620
0.872 0.380 0.872
0.872 0.872 0.380
0.380 0.872 0.872
0.125 0.626 0.125
0.125 0.125 0.626
0.095 0.095 0.095
0.000 0.000 0.000
0.626 0.125 0.125
0.373 0.881 0.373
0.373 0.373 0.881
0.251 0.251 0.251
0.881 0.373 0.373
0.844 0.844 0.844
0.782 0.324 0.324
0.440 0.440 0.440
0.324 0.324 0.782
0.324 0.782 0.324
0.933 0.453 0.933
0.033 0.572 0.572
0.933 0.933 0.453
0.690 0.690 0.690
0.572 0.572 0.033
0.811 0.811 0.811
0.453 0.933 0.933
0.572 0.033 0.572
0.168 0.731 0.168
0.275 0.830 0.830
0.941 0.941 0.941
0.168 0.168 0.731
0.830 0.830 0.275
0.062 0.062 0.062
0.731 0.168 0.168
0.830 0.275 0.830
0.421 0.974 0.421
0.524 0.081 0.081
0.191 0.191 0.191
0.421 0.421 0.974
0.309 0.309 0.309
0.081 0.081 0.524
0.974 0.421 0.421
0.081 0.524 0.081
0.687 0.195 0.687
0.687 0.687 0.195
0.558 0.558 0.558
0.195 0.687 0.687
```

Properties
SG: R3m

Most stable: run x

Run w
# Li2SnP2O7

Crystalline Li2SnP2O7 at its relaxed geometry (GGA-PBE, Materials Project).

The structure in POSCAR format:
```
Li2SnP2O7
1.0
5.212 0.000 0.000
-0.031 7.576 0.000
-0.163 -3.453 7.944
Li Sn P O
4 2 4 14
Direct
0.691 0.162 0.591
0.699 0.135 0.998
0.301 0.865 0.002
0.309 0.838 0.409
0.768 0.728 0.691
0.232 0.272 0.309
0.804 0.878 0.196
0.775 0.558 0.291
0.225 0.442 0.709
0.196 0.122 0.804
0.969 0.665 0.437
0.907 0.063 0.782
0.849 0.344 0.202
0.808 0.645 0.150
0.683 0.893 0.040
0.650 0.974 0.355
0.502 0.413 0.651
0.498 0.587 0.349
0.350 0.026 0.645
0.317 0.107 0.960
0.192 0.355 0.850
0.151 0.656 0.798
0.093 0.937 0.218
0.031 0.335 0.563
```

Properties
SG: P-1

Run x
# Li2SnP2O7

Crystalline Li2SnP2O7 at its relaxed geometry (GGA-PBE, Materials Project).

The structure in POSCAR format:
```
Li2SnP2O7
1.0
2.686 -1.028 -6.334
4.578 10.316 -0.624
7.522 1.412 6.017
Li Sn P O
8 4 8 28
Direct
0.007 0.458 0.220
0.613 0.378 0.075
0.688 0.030 0.503
0.189 0.788 0.138
0.190 0.977 0.467
0.807 0.204 0.862
0.364 0.621 0.920
0.948 0.512 0.867
0.354 0.253 0.508
0.715 0.812 0.103
0.282 0.204 0.875
0.649 0.743 0.497
0.072 0.218 0.168
0.721 0.081 0.187
0.490 0.520 0.269
0.137 0.692 0.473
0.836 0.301 0.516
0.497 0.482 0.731
0.297 0.924 0.797
0.936 0.800 0.816
0.090 0.179 0.036
0.561 0.210 0.102
0.270 0.179 0.312
0.950 0.362 0.090
0.987 0.330 0.424
0.943 0.115 0.260
0.577 0.507 0.147
0.051 0.721 0.295
0.309 0.449 0.286
0.324 0.019 0.641
0.438 0.663 0.239
0.704 0.204 0.488
0.744 0.031 0.064
0.315 0.556 0.555
0.676 0.443 0.445
0.298 0.983 0.917
0.241 0.801 0.495
0.567 0.342 0.756
0.698 0.978 0.338
0.672 0.560 0.720
0.938 0.259 0.696
0.408 0.486 0.855
0.066 0.902 0.728
0.977 0.656 0.557
0.054 0.657 0.889
0.735 0.840 0.673
0.444 0.789 0.885
0.916 0.837 0.950
```

Properties
SG: P1

Most stable: run w

Run w
# Na2MgCuO2

Crystalline Na2MgCuO2 at its relaxed geometry (GGA-PBE, Materials Project).

The structure in POSCAR format:
```
Na2MgCuO2
1.0
5.519 1.684 3.114
0.950 -1.655 7.786
-4.478 -2.697 -5.819
Na Mg Cu O
2 1 1 2
Direct
0.801 0.314 0.859
0.199 0.686 0.141
0.500 0.000 0.000
0.000 0.500 0.500
0.341 0.307 0.020
0.659 0.693 0.980
```

Properties
SG: P-1

Run x
# Na2MgCuO2

Crystalline Na2MgCuO2 at its relaxed geometry (GGA-PBE, Materials Project).

The structure in POSCAR format:
```
Na2MgCuO2
1.0
-3.484 4.806 2.227
-0.917 5.718 -2.581
-0.319 -6.329 -0.205
Na Mg Cu O
2 1 1 2
Direct
0.769 0.269 0.500
0.231 0.731 0.500
0.500 0.000 0.500
0.000 0.500 0.500
0.376 0.376 0.000
0.624 0.624 0.000
```

Properties
SG: Immm

Most stable: run w